1.
Material: Ho9Al5Se21
Method: DFT, GGA-PBE
State: relaxed

Its space group is R3. The final energy comes out at -5.29 eV/atom.

```
Ho9Al5Se21
1.0
8.149 -8.724 0.000
8.149 8.724 0.000
-1.190 0.000 11.879
Ho Al Se
18 10 42
Cartesian
7.894 6.697 3.107
9.672 -2.007 11.013
4.845 -1.906 7.166
6.272 3.238 5.352
9.220 -5.459 1.421
11.083 3.324 9.220
13.231 -1.317 6.487
8.312 -1.332 2.757
2.050 -1.238 10.539
10.556 1.971 4.949
5.427 2.009 0.855
7.478 -6.760 8.971
4.016 -3.328 2.650
6.113 5.485 10.708
9.169 -3.266 6.713
13.350 1.275 1.502
7.059 1.296 9.396
1.865 1.319 5.386
6.153 -2.904 11.303
9.310 5.854 7.287
12.420 -2.950 3.332
6.759 -5.759 5.356
9.872 2.851 1.396
3.707 2.908 9.237
2.132 0.000 1.676
12.493 0.000 9.822
4.943 0.000 3.886
9.686 0.000 7.615
4.291 -2.903 9.813
7.430 5.836 5.820
10.538 -2.932 1.867
9.944 -5.811 7.814
13.051 2.908 3.862
6.831 2.902 11.774
7.111 -0.768 11.775
2.111 -0.722 7.697
13.442 -0.808 3.680
7.989 -4.286 10.615
11.207 4.594 6.565
6.124 4.471 2.592
6.897 -3.749 1.609
8.854 5.093 9.515
12.029 -3.826 5.519
7.326 -7.898 6.251
10.542 0.732 2.254
4.340 0.743 10.052
6.536 -4.474 7.349
9.577 4.148 3.391
3.456 4.284 11.173
8.781 -4.892 4.403
11.912 3.615 0.419
5.752 3.742 8.346
7.543 -1.284 8.190
2.390 -1.179 4.000
13.516 -1.218 0.058
5.162 -6.586 10.684
8.503 2.180 6.970
3.305 2.033 2.836
4.567 -0.855 1.232
6.465 7.804 9.026
9.877 -0.896 5.221
12.002 1.180 7.322
6.966 1.200 3.211
0.980 1.301 11.342
5.957 -2.142 4.495
9.381 6.547 0.657
11.093 -2.029 8.478
7.989 -7.848 2.428
9.829 0.849 10.085
4.673 0.942 6.128
```

---

2.
Material: Mo2WSe6
Method: DFT, GGA-PBE
State: relaxed

Its space group is P-6m2. The final energy comes out at -6.81 eV/atom.

```
Mo2WSe6
1.0
1.509 1.534 2.533
-2.844 -1.642 0.509
15.860 -25.598 6.057
Mo W Se
2 1 6
Cartesian
10.797 -20.260 5.839
2.276 -6.505 2.585
0.058 0.475 1.858
-0.524 -1.987 1.515
11.383 -17.804 6.184
2.861 -4.050 2.929
13.114 -20.598 6.845
4.592 -6.843 3.590
13.597 -24.778 6.908
```

---

3.
Material: SrGa2Au2
Method: DFT, GGA-PBE
State: relaxed

Its space group is P4/nmm. The final energy comes out at -3.46 eV/atom.

```
SrGa2Au2
1.0
-3.238 0.847 3.088
-1.344 -4.345 -0.217
6.841 -2.508 7.860
Sr Ga Au
2 4 4
Cartesian
4.463 -4.056 5.792
0.087 -0.202 3.504
0.190 -2.489 0.881
3.420 -1.254 3.930
4.360 -1.769 8.414
1.130 -3.004 5.365
2.697 -1.159 6.503
-2.291 -1.749 1.435
0.000 0.000 0.000
1.853 -3.099 2.793
```

---

4.
Material: LiNi2S2
Method: DFT, GGA-PBE
State: relaxed

Its space group is P-3m1. The energy relative to the lowest polymorph listed for this composition comes out at 0.18 eV per formula unit. The final energy comes out at -4.94 eV/atom.

```
LiNi2S2
1.0
0.916 3.523 0.570
-3.518 -0.915 -0.597
-0.802 -0.740 5.864
Li Ni S
1 2 2
Cartesian
0.000 0.000 0.000
-2.332 0.295 1.924
-1.073 1.573 3.913
-2.635 0.016 4.138
-0.770 1.852 1.699
```

---

5.
Material: Tb2ZnCuSi2
Method: DFT, GGA-PBE
State: relaxed

Its space group is Pm. The final energy comes out at -4.89 eV/atom.

```
Tb2ZnCuSi2
1.0
-2.778 1.434 -2.560
2.165 3.438 -0.423
3.509 -2.888 -5.426
Tb Zn Cu Si
2 1 1 2
Cartesian
2.177 3.429 -0.441
2.825 0.285 -2.906
2.625 0.025 -6.023
-0.223 -0.242 -3.083
0.300 1.937 -2.429
3.091 2.249 -5.283
```

---

6.
Material: Na12Mg5TaP9O36
Method: DFT, GGA-PBE
State: relaxed

Its space group is P3c1. The final energy comes out at -6.57 eV/atom.

```
Na12Mg5TaP9O36
1.0
9.032 0.000 0.000
-4.516 7.822 0.000
0.000 0.000 21.976
Na Mg Ta P O
24 10 2 18 72
Cartesian
1.221 7.818 5.500
1.644 2.855 5.500
-2.865 4.971 5.500
2.865 4.971 16.488
-1.644 2.855 16.488
-1.221 7.818 16.488
1.143 2.613 12.944
-2.824 5.526 12.944
1.682 7.505 12.944
-1.682 7.505 1.956
2.824 5.526 1.956
-1.143 2.613 1.956
5.794 5.341 19.911
6.245 0.134 19.911
1.510 2.347 19.911
7.522 2.347 8.923
2.788 0.134 8.923
3.239 5.341 8.923
0.000 0.000 10.982
0.000 0.000 21.970
4.516 2.607 18.058
4.516 2.607 7.070
0.000 5.215 3.772
0.000 5.215 14.760
0.000 0.000 7.598
0.000 0.000 18.585
0.000 0.000 14.349
0.000 0.000 3.361
4.516 2.607 15.048
4.516 2.607 4.060
0.000 5.215 0.368
0.000 5.215 11.356
0.000 5.215 6.949
0.000 5.215 17.937
4.516 2.607 21.575
4.516 2.607 10.587
-1.826 7.812 5.487
3.163 5.497 5.487
-1.337 2.335 5.487
1.337 2.335 16.475
-3.163 5.497 16.475
1.826 7.812 16.475
7.183 2.624 12.860
3.197 0.289 12.860
3.168 4.909 12.860
5.864 4.909 1.872
5.835 0.289 1.872
1.849 2.624 1.872
2.667 5.214 20.184
-1.334 2.905 20.184
-1.333 7.525 20.184
1.333 7.525 9.196
1.334 2.905 9.196
-2.667 5.214 9.196
1.817 0.191 6.750
3.773 6.153 6.750
7.958 1.478 6.750
1.074 1.478 17.738
5.259 6.153 17.738
7.215 0.191 17.738
2.698 7.609 15.214
0.725 1.681 15.214
-3.423 6.354 15.214
3.423 6.354 4.226
-0.725 1.681 4.226
-2.698 7.609 4.226
6.293 2.819 14.078
3.811 0.962 14.078
3.444 4.040 14.078
5.588 4.040 3.090
5.221 0.962 3.090
2.739 2.819 3.090
2.851 2.489 0.610
5.246 4.108 0.610
5.451 1.225 0.610
3.581 1.225 11.598
3.786 4.108 11.598
6.181 2.489 11.598
1.824 5.401 21.439
-0.751 3.542 21.439
-1.073 6.702 21.439
1.073 6.702 10.451
0.751 3.542 10.451
-1.824 5.401 10.451
-1.833 4.899 7.951
0.643 6.960 7.951
1.190 3.785 7.951
-1.190 3.785 18.938
-0.643 6.960 18.938
1.833 4.899 18.938
-3.635 6.414 9.069
2.856 7.763 9.069
0.779 1.467 9.069
-0.779 1.467 20.057
-2.856 7.763 20.057
3.635 6.414 20.057
8.002 1.323 12.819
1.661 0.231 12.819
3.885 6.268 12.819
5.147 6.268 1.831
7.371 0.231 1.831
1.030 1.323 1.831
5.439 1.257 16.386
2.885 2.483 16.386
5.224 4.082 16.386
3.808 4.082 5.398
6.147 2.483 5.398
3.593 1.257 5.398
3.611 3.910 20.334
6.096 2.740 20.334
3.841 1.172 20.334
5.191 1.172 9.346
2.936 2.740 9.346
5.421 3.910 9.346
0.969 3.871 1.699
-1.648 5.048 1.699
0.679 6.725 1.699
-0.679 6.725 12.687
1.648 5.048 12.687
-0.969 3.871 12.687
-0.924 6.549 5.599
1.617 5.348 5.599
-0.694 3.747 5.599
0.694 3.747 16.587
-1.617 5.348 16.587
0.924 6.549 16.587
```